1.
The following is a DFT calculation (PBE-GGA) of a relaxed Mg5Ge crystal.

a = 5.1230 Å, b = 8.1025 Å, c = 8.1025 Å
α = 22.57°, β = 90.00°, γ = 90.00°
Positions (direct):
Mg 0.0000 0.0000 0.0000
Mg 0.0000 0.3207 0.3207
Mg 0.5000 0.2099 0.2099
Mg 0.5000 0.5491 0.5491
Mg 0.5000 0.8817 0.8817
Ge 0.0000 0.6581 0.6581

Summary:
Magnetization in μB/atom: 0.000
Excess energy over the best structure of this formula in the dataset in meV/atom: 16
Raw total energy in eV/cell: -12.63
V in Å³ per cell: 129.1
Calculated formation energy in eV per atom: -0.002

***

2.
The following is a DFT calculation (PBE-GGA) of a relaxed Mg5Ge crystal.

a = 5.9641 Å, b = 5.9641 Å, c = 5.9641 Å
α = 53.99°, β = 53.99°, γ = 53.99°
Positions (direct):
Mg 0.0000 0.6612 0.3388
Mg 0.1671 0.1671 0.1671
Mg 0.3388 0.0000 0.6612
Mg 0.6612 0.3388 0.0000
Mg 0.8329 0.8329 0.8329
Ge 0.5000 0.5000 0.5000

Summary:
Magnetization in μB/atom: 0.000
Excess energy over the best structure of this formula in the dataset in meV/atom: 0
Raw total energy in eV/cell: -12.73
V in Å³ per cell: 128.9
Calculated formation energy in eV per atom: -0.017

***

3.
The following is a DFT calculation (PBE-GGA) of a relaxed Mg19Ge5 crystal.

a = 8.1526 Å, b = 8.1526 Å, c = 8.1526 Å
α = 90.00°, β = 90.00°, γ = 90.00°
Positions (direct):
Mg 0.0000 0.0000 0.5000
Mg 0.0000 0.5000 0.0000
Mg 0.1252 0.1252 0.8748
Mg 0.1252 0.8748 0.1252
Mg 0.1263 0.3755 0.6245
Mg 0.1263 0.6245 0.3755
Mg 0.3755 0.1263 0.6245
Mg 0.3755 0.3755 0.8737
Mg 0.3755 0.6245 0.1263
Mg 0.3755 0.8737 0.3755
Mg 0.5000 0.0000 0.0000
Mg 0.6245 0.1263 0.3755
Mg 0.6245 0.3755 0.1263
Mg 0.6245 0.6245 0.8737
Mg 0.6245 0.8737 0.6245
Mg 0.8737 0.3755 0.3755
Mg 0.8737 0.6245 0.6245
Mg 0.8748 0.1252 0.1252
Mg 0.8748 0.8748 0.8748
Ge 0.2496 0.2496 0.2496
Ge 0.2496 0.7504 0.7504
Ge 0.5000 0.5000 0.5000
Ge 0.7504 0.2496 0.7504
Ge 0.7504 0.7504 0.2496

Summary:
Magnetization in μB/atom: 0.000
Raw total energy in eV/cell: -49.85
V in Å³ per cell: 541.9
Calculated formation energy in eV per atom: 0.153

***

4.
The following is a DFT calculation (PBE-GGA) of a relaxed Mg5Ge crystal.

a = 5.8488 Å, b = 5.8488 Å, c = 7.4570 Å
α = 104.98°, β = 104.98°, γ = 32.10°
Positions (direct):
Mg 0.0000 0.0000 0.0000
Mg 0.0426 0.0426 0.6134
Mg 0.3192 0.3192 0.6795
Mg 0.3693 0.3693 0.2578
Mg 0.6543 0.6543 0.3359
Ge 0.7126 0.7126 0.9461

Summary:
Magnetization in μB/atom: 0.003
Excess energy over the best structure of this formula in the dataset in meV/atom: 9
Raw total energy in eV/cell: -12.67
V in Å³ per cell: 130.6
Calculated formation energy in eV per atom: -0.008